## V3P4O16 (PBE+U)

Data for crystalline V3P4O16 at its relaxed geometry.

The structure in CIF format:
```
data_V3P4O16
_cell_length_a 7.642
_cell_length_b 9.024
_cell_length_c 13.291
_cell_angle_alpha 84.28
_cell_angle_beta 89.01
_cell_angle_gamma 89.63
_space_group_name_H-M_alt 'P 1'
_space_group_IT_number 1
loop_
_space_group_symop_operation_xyz
'x,y,z'
loop_
_atom_site_label
_atom_site_fract_x
_atom_site_fract_y
_atom_site_fract_z
V1 0.540 0.675 0.830
V2 0.360 0.741 0.174
V3 0.519 0.318 0.158
V4 0.989 0.150 0.828
V5 0.854 0.093 0.492
V6 0.012 0.516 0.507
V7 0.462 0.991 0.502
V8 0.967 0.844 0.169
V9 0.147 0.574 0.842
P1 0.188 0.201 0.616
P2 0.316 0.674 0.612
P3 0.831 0.161 0.053
P4 0.701 0.634 0.052
P5 0.786 0.809 0.391
P6 0.290 0.024 0.279
P7 0.687 0.991 0.722
P8 0.216 0.855 0.944
P9 0.169 0.520 0.280
P10 0.664 0.313 0.386
P11 0.814 0.464 0.719
P12 0.335 0.354 0.948
O1 0.333 0.356 0.065
O2 0.872 0.684 0.096
O3 0.602 0.839 0.432
O4 0.302 0.661 0.736
O5 0.378 0.529 0.907
O6 0.912 0.937 0.424
O7 0.445 0.241 0.906
O8 0.638 0.512 0.763
O9 0.642 0.818 0.745
O10 0.862 0.658 0.428
O11 0.136 0.006 0.915
O12 0.961 0.260 0.091
O13 0.043 0.102 0.576
O14 0.859 0.300 0.433
O15 0.139 0.370 0.901
O16 0.170 0.516 0.397
O17 0.210 0.828 0.066
O18 0.877 0.999 0.763
O19 0.550 0.736 0.087
O20 0.128 0.695 0.240
O21 0.710 0.657 0.934
O22 0.871 0.988 0.088
O23 0.108 0.991 0.241
O24 0.957 0.565 0.759
O25 0.453 0.575 0.579
O26 0.551 0.090 0.756
O27 0.416 0.892 0.246
O28 0.179 0.176 0.733
O29 0.548 0.425 0.424
O30 0.367 0.534 0.232
O31 0.823 0.490 0.602
O32 0.834 0.162 0.935
O33 0.636 0.172 0.090
O34 0.624 0.138 0.426
O35 0.398 0.827 0.901
O36 0.367 0.172 0.237
O37 0.853 0.299 0.748
O38 0.659 0.471 0.083
O39 0.700 0.006 0.598
O40 0.294 0.013 0.397
O41 0.149 0.366 0.585
O42 0.671 0.314 0.268
O43 0.126 0.666 0.572
O44 0.360 0.848 0.588
O45 0.790 0.823 0.273
O46 0.088 0.728 0.913
O47 0.056 0.409 0.241
O48 0.363 0.152 0.573
```

Computed properties:
As for the space group: P1 (1).



## LiV3OF11 (PBE+U)

Data for crystalline LiV3OF11 at its relaxed geometry.

The structure in CIF format:
```
data_LiV3OF11
_cell_length_a 5.287
_cell_length_b 5.453
_cell_length_c 15.460
_cell_angle_alpha 80.23
_cell_angle_beta 89.91
_cell_angle_gamma 89.52
_space_group_name_H-M_alt 'P 1'
_space_group_IT_number 1
loop_
_space_group_symop_operation_xyz
'x,y,z'
loop_
_atom_site_label
_atom_site_fract_x
_atom_site_fract_y
_atom_site_fract_z
Li1 0.813 0.700 0.161
Li2 0.231 0.186 0.177
V1 0.473 0.859 0.340
V2 0.013 0.008 0.999
V3 0.001 0.666 0.667
V4 0.505 0.506 0.990
V5 0.002 0.328 0.344
V6 0.500 0.166 0.667
O1 0.069 0.959 0.109
O2 0.281 0.123 0.312
F1 0.199 0.976 0.645
F2 0.315 0.812 0.971
F3 0.699 0.856 0.691
F4 0.087 0.624 0.779
F5 0.434 0.761 0.455
F6 0.920 0.708 0.555
F7 0.576 0.877 0.218
F8 0.601 0.539 0.880
F9 0.203 0.628 0.315
F10 0.302 0.476 0.643
F11 0.203 0.325 0.970
F12 0.795 0.682 0.028
F13 0.710 0.537 0.351
F14 0.801 0.358 0.689
F15 0.414 0.458 0.108
F16 0.085 0.291 0.455
F17 0.416 0.129 0.779
F18 0.941 0.380 0.220
F19 0.584 0.201 0.555
F20 0.898 0.027 0.887
F21 0.691 0.200 0.019
F22 0.788 0.040 0.359
```

Computed properties:
As for the space group: P1 (1).



## K3MgVO4 (PBE+U)

Data for crystalline K3MgVO4 at its relaxed geometry.

The structure in CIF format:
```
data_K3MgVO4
_cell_length_a 6.822
_cell_length_b 6.822
_cell_length_c 6.822
_cell_angle_alpha 74.30
_cell_angle_beta 131.91
_cell_angle_gamma 127.06
_space_group_name_H-M_alt 'P 1'
_space_group_IT_number 1
loop_
_space_group_symop_operation_xyz
'x,y,z'
loop_
_atom_site_label
_atom_site_fract_x
_atom_site_fract_y
_atom_site_fract_z
K1 0.500 0.709 0.209
K2 0.500 0.291 0.791
K3 0.000 0.500 0.500
Mg1 0.500 0.000 0.500
V1 0.000 0.000 0.000
O1 0.587 0.925 0.842
O2 0.917 0.075 0.662
O3 0.083 0.746 0.158
O4 0.413 0.254 0.338
```

Computed properties:
As for the space group: I222 (23).



## Cr4P7O24 (PBE+U)

Data for crystalline Cr4P7O24 at its relaxed geometry.

The structure in CIF format:
```
data_Cr4P7O24
_cell_length_a 10.121
_cell_length_b 10.254
_cell_length_c 10.681
_cell_angle_alpha 108.67
_cell_angle_beta 111.52
_cell_angle_gamma 104.84
_space_group_name_H-M_alt 'P 1'
_space_group_IT_number 1
loop_
_space_group_symop_operation_xyz
'x,y,z'
loop_
_atom_site_label
_atom_site_fract_x
_atom_site_fract_y
_atom_site_fract_z
Cr1 0.002 0.387 0.076
Cr2 0.013 0.169 0.587
Cr3 0.488 0.336 0.115
Cr4 0.987 0.831 0.413
Cr5 0.512 0.664 0.885
Cr6 0.998 0.613 0.924
Cr7 0.500 0.895 0.743
Cr8 0.500 0.105 0.257
P1 0.250 0.392 0.524
P2 0.737 0.964 0.242
P3 0.733 0.178 0.116
P4 0.194 0.626 0.434
P5 0.750 0.608 0.476
P6 0.267 0.822 0.884
P7 0.250 0.459 0.948
P8 0.801 0.060 0.739
P9 0.228 0.221 0.227
P10 0.750 0.541 0.052
P11 0.806 0.374 0.566
P12 0.772 0.779 0.773
P13 0.199 0.940 0.261
P14 0.263 0.036 0.758
O1 0.337 0.175 0.907
O2 0.349 0.433 0.080
O3 0.690 0.660 0.598
O4 0.606 0.504 0.325
O5 0.368 0.594 0.954
O6 0.882 0.975 0.372
O7 0.129 0.789 0.124
O8 0.132 0.679 0.842
O9 0.632 0.277 0.460
O10 0.377 0.018 0.337
O11 0.642 0.063 0.952
O12 0.088 0.698 0.462
O13 0.626 0.994 0.299
O14 0.358 0.937 0.048
O15 0.368 0.723 0.540
O16 0.113 0.258 0.126
O17 0.871 0.211 0.876
O18 0.841 0.439 0.730
O19 0.634 0.780 0.803
O20 0.632 0.406 0.046
O21 0.868 0.321 0.158
O22 0.184 0.893 0.782
O23 0.816 0.107 0.218
O24 0.146 0.931 0.373
O25 0.663 0.825 0.093
O26 0.380 0.781 0.824
O27 0.310 0.340 0.402
O28 0.118 0.025 0.628
O29 0.623 0.982 0.663
O30 0.620 0.219 0.176
O31 0.864 0.943 0.797
O32 0.854 0.754 0.493
O33 0.366 0.220 0.197
O34 0.374 0.006 0.701
O35 0.854 0.069 0.627
O36 0.887 0.742 0.874
O37 0.850 0.521 0.531
O38 0.159 0.561 0.270
O39 0.146 0.246 0.507
O40 0.874 0.501 0.010
O41 0.651 0.567 0.920
O42 0.394 0.496 0.675
O43 0.136 0.057 0.203
O44 0.836 0.678 0.206
O45 0.912 0.302 0.538
O46 0.126 0.499 0.990
O47 0.164 0.322 0.794
O48 0.150 0.479 0.469
```

Computed properties:
As for the space group: P-1 (2).



## Li24Mn7Cr5O36 (PBE+U)

Data for crystalline Li24Mn7Cr5O36 at its relaxed geometry.

The structure in CIF format:
```
data_Li24Mn7Cr5O36
_cell_length_a 5.008
_cell_length_b 9.737
_cell_length_c 13.274
_cell_angle_alpha 97.13
_cell_angle_beta 100.51
_cell_angle_gamma 94.72
_space_group_name_H-M_alt 'P 1'
_space_group_IT_number 1
loop_
_space_group_symop_operation_xyz
'x,y,z'
loop_
_atom_site_label
_atom_site_fract_x
_atom_site_fract_y
_atom_site_fract_z
Li1 0.166 0.000 0.834
Li2 0.053 0.000 0.615
Li3 0.000 0.749 0.250
Li4 0.332 0.750 0.918
Li5 0.049 0.499 0.111
Li6 0.379 0.500 0.776
Li7 0.167 0.501 0.333
Li8 0.503 0.500 0.001
Li9 0.289 0.500 0.556
Li10 0.335 0.250 0.416
Li11 0.501 0.000 0.500
Li12 0.280 0.000 0.053
Li13 0.615 0.999 0.718
Li14 0.383 0.000 0.281
Li15 0.717 0.001 0.948
Li16 0.664 0.750 0.584
Li17 0.710 0.500 0.444
Li18 0.832 0.500 0.667
Li19 0.618 0.502 0.223
Li20 0.954 0.499 0.889
Li21 0.665 0.250 0.081
Li22 0.836 0.999 0.167
Li23 0.001 0.250 0.749
Li24 0.951 0.000 0.385
Mn1 0.112 0.250 0.973
Mn2 0.224 0.750 0.694
Mn3 0.221 0.249 0.194
Mn4 0.445 0.251 0.639
Mn5 0.444 0.750 0.139
Mn6 0.554 0.749 0.360
Mn7 0.892 0.751 0.029
Cr1 0.104 0.750 0.473
Cr2 0.559 0.250 0.859
Cr3 0.773 0.750 0.808
Cr4 0.770 0.248 0.302
Cr5 0.895 0.251 0.527
O1 0.003 0.863 0.932
O2 0.069 0.637 0.785
O3 0.993 0.362 0.430
O4 0.148 0.363 0.645
O5 0.267 0.364 0.883
O6 0.337 0.863 0.598
O7 0.075 0.134 0.284
O8 0.190 0.138 0.525
O9 0.401 0.135 0.952
O10 0.143 0.862 0.143
O11 0.265 0.864 0.382
O12 0.480 0.862 0.809
O13 0.332 0.138 0.737
O14 0.191 0.638 0.024
O15 0.403 0.636 0.451
O16 0.519 0.637 0.689
O17 0.331 0.639 0.237
O18 0.671 0.638 0.905
O19 0.335 0.361 0.096
O20 0.667 0.362 0.762
O21 0.469 0.363 0.308
O22 0.595 0.364 0.548
O23 0.815 0.364 0.978
O24 0.667 0.862 0.261
O25 0.522 0.138 0.190
O26 0.736 0.136 0.618
O27 0.854 0.138 0.859
O28 0.597 0.864 0.048
O29 0.812 0.862 0.474
O30 0.932 0.864 0.715
O31 0.671 0.137 0.402
O32 0.736 0.636 0.119
O33 0.850 0.636 0.355
O34 0.003 0.639 0.571
O35 0.931 0.364 0.217
O36 0.997 0.138 0.071
```

Computed properties:
As for the space group: P1 (1).



## LaP3H3WO9 (PBE+U)

Data for crystalline LaP3H3WO9 at its relaxed geometry.

The structure in CIF format:
```
data_LaP3H3WO9
_cell_length_a 7.626
_cell_length_b 9.432
_cell_length_c 8.588
_cell_angle_alpha 122.76
_cell_angle_beta 98.51
_cell_angle_gamma 99.53
_space_group_name_H-M_alt 'P 1'
_space_group_IT_number 1
loop_
_space_group_symop_operation_xyz
'x,y,z'
loop_
_atom_site_label
_atom_site_fract_x
_atom_site_fract_y
_atom_site_fract_z
La1 0.295 0.636 0.136
La2 0.705 0.364 0.864
P1 0.152 0.259 0.713
P2 0.848 0.741 0.287
P3 0.527 0.119 0.316
P4 0.473 0.880 0.684
P5 0.009 0.306 0.199
P6 0.991 0.695 0.801
H1 0.071 0.458 0.390
H2 0.929 0.542 0.610
H3 0.696 0.132 0.257
H4 0.304 0.868 0.743
H5 0.133 0.225 0.530
H6 0.867 0.775 0.470
W1 0.767 0.918 0.069
W2 0.233 0.082 0.931
O1 0.824 0.295 0.093
O2 0.175 0.705 0.907
O3 0.171 0.323 0.112
O4 0.829 0.677 0.888
O5 0.998 0.145 0.210
O6 0.002 0.855 0.790
O7 0.404 0.157 0.193
O8 0.596 0.843 0.807
O9 0.593 0.267 0.530
O10 0.407 0.733 0.470
O11 0.990 0.645 0.196
O12 0.010 0.355 0.804
O13 0.126 0.082 0.688
O14 0.874 0.918 0.312
O15 0.649 0.615 0.153
O16 0.351 0.385 0.847
O17 0.462 0.933 0.262
O18 0.538 0.067 0.738
```

Computed properties:
As for the space group: P-1 (2).



## SmCoC6N6O5 (PBE+U)

Data for crystalline SmCoC6N6O5 at its relaxed geometry.

The structure in CIF format:
```
data_SmCoC6N6O5
_cell_length_a 7.682
_cell_length_b 7.682
_cell_length_c 12.891
_cell_angle_alpha 90.00
_cell_angle_beta 90.00
_cell_angle_gamma 120.00
_space_group_name_H-M_alt 'P 1'
_space_group_IT_number 1
loop_
_space_group_symop_operation_xyz
'x,y,z'
loop_
_atom_site_label
_atom_site_fract_x
_atom_site_fract_y
_atom_site_fract_z
Sm1 0.333 0.667 0.750
Sm2 0.667 0.333 0.250
Co1 0.000 0.000 0.000
Co2 0.000 0.000 0.500
C1 0.769 0.897 0.918
C2 0.231 0.103 0.082
C3 0.128 0.231 0.918
C4 0.231 0.103 0.418
C5 0.872 0.769 0.082
C6 0.769 0.897 0.582
C7 0.103 0.872 0.918
C8 0.872 0.769 0.418
C9 0.897 0.128 0.082
C10 0.128 0.231 0.582
C11 0.897 0.128 0.418
C12 0.103 0.872 0.582
N1 0.622 0.830 0.869
N2 0.378 0.170 0.131
N3 0.208 0.378 0.869
N4 0.378 0.170 0.369
N5 0.792 0.622 0.131
N6 0.622 0.830 0.631
N7 0.170 0.792 0.869
N8 0.792 0.622 0.369
N9 0.830 0.208 0.131
N10 0.208 0.378 0.631
N11 0.830 0.208 0.369
N12 0.170 0.792 0.631
O1 0.667 0.333 0.840
O2 0.333 0.667 0.160
O3 0.333 0.667 0.340
O4 0.667 0.333 0.660
O5 0.931 0.441 0.750
O6 0.069 0.559 0.250
O7 0.510 0.069 0.750
O8 0.490 0.931 0.250
O9 0.559 0.490 0.750
O10 0.441 0.510 0.250
```

Computed properties:
As for the space group: P6_3/m (176).



## Mn2TeO6 (PBE+U)

Data for crystalline Mn2TeO6 at its relaxed geometry.

The structure in CIF format:
```
data_Mn2TeO6
_cell_length_a 4.808
_cell_length_b 4.808
_cell_length_c 8.970
_cell_angle_alpha 90.00
_cell_angle_beta 90.00
_cell_angle_gamma 90.00
_space_group_name_H-M_alt 'P 1'
_space_group_IT_number 1
loop_
_space_group_symop_operation_xyz
'x,y,z'
loop_
_atom_site_label
_atom_site_fract_x
_atom_site_fract_y
_atom_site_fract_z
Mn1 0.000 0.000 0.665
Mn2 0.500 0.500 0.835
Mn3 0.000 0.000 0.335
Mn4 0.500 0.500 0.165
Te1 0.000 0.000 0.000
Te2 0.500 0.500 0.500
O1 0.301 0.301 0.000
O2 0.700 0.699 0.000
O3 0.199 0.801 0.500
O4 0.801 0.199 0.500
O5 0.316 0.316 0.335
O6 0.684 0.684 0.665
O7 0.684 0.684 0.335
O8 0.184 0.816 0.835
O9 0.184 0.816 0.165
O10 0.316 0.316 0.665
O11 0.816 0.184 0.165
O12 0.816 0.184 0.835
```

Computed properties:
As for the space group: P4_2/mnm (136).



## Li4FeOF5 (PBE+U)

Data for crystalline Li4FeOF5 at its relaxed geometry.

The structure in CIF format:
```
data_Li4FeOF5
_cell_length_a 5.154
_cell_length_b 5.154
_cell_length_c 14.434
_cell_angle_alpha 90.00
_cell_angle_beta 90.00
_cell_angle_gamma 120.00
_space_group_name_H-M_alt 'P 1'
_space_group_IT_number 1
loop_
_space_group_symop_operation_xyz
'x,y,z'
loop_
_atom_site_label
_atom_site_fract_x
_atom_site_fract_y
_atom_site_fract_z
Li1 0.122 0.552 0.498
Li2 0.448 0.570 0.831
Li3 0.771 0.557 0.173
Li4 0.430 0.878 0.165
Li5 0.794 0.886 0.001
Li6 0.764 0.917 0.508
Li7 0.083 0.847 0.841
Li8 0.114 0.908 0.334
Li9 0.786 0.229 0.840
Li10 0.092 0.206 0.668
Li11 0.153 0.236 0.175
Li12 0.443 0.214 0.507
Fe1 0.780 0.530 0.660
Fe2 0.750 0.220 0.327
Fe3 0.470 0.250 0.994
O1 0.737 0.540 0.919
O2 0.802 0.263 0.586
O3 0.460 0.198 0.252
F1 0.080 0.529 0.757
F2 0.086 0.544 0.244
F3 0.456 0.542 0.578
F4 0.471 0.550 0.090
F5 0.450 0.920 0.424
F6 0.458 0.914 0.911
F7 0.813 0.552 0.413
F8 0.805 0.867 0.749
F9 0.811 0.922 0.249
F10 0.738 0.187 0.080
F11 0.078 0.889 0.582
F12 0.133 0.939 0.082
F13 0.111 0.189 0.916
F14 0.061 0.195 0.415
F15 0.448 0.262 0.747
```

Computed properties:
As for the space group: P3_1 (144).



| no. | formation energy (meV/atom) | volume (Å³/atom) | final energy (eV/f.u.) |
| --- | --- | --- | --- |
| 1 | -2497 | 13.2 | -169.410 |
| 2 | -2965 | 13.7 | -91.745 |
| 3 | -1987 | 20.4 | -47.242 |
| 4 | -2553 | 12.6 | -260.118 |
| 5 | -2197 | 8.7 | -448.101 |
| 6 | -2150 | 14.4 | -114.767 |
| 7 | 420 | 17.3 | -128.900 |
| 8 | -1786 | 11.5 | -59.767 |
| 9 | -2780 | 10.1 | -55.958 |